# 1
PBE Na14Zn2Si9Sn6S3O48, optimized geometry; VASP energy = -6.21 eV/atom; formation energy = -2.416 eV per atom; size of the total moment = 0.00 μB per formula unit
1.0
9.1313 0.0000 0.0000
0.0114 15.7390 0.0000
0.1026 0.0258 22.5251
Na Zn Si Sn S O
42 6 27 18 9 144
direct
0.0000 0.0000 0.0000
0.0000 0.3296 0.6759
0.0049 0.9660 0.6650
0.0217 0.6303 0.0021
0.1243 0.1308 0.5090
0.1408 0.4679 0.1615
0.1430 0.8274 0.1707
0.1454 0.5020 0.5034
0.1826 0.8055 0.5073
0.1853 0.4819 0.8359
0.1941 0.1451 0.1665
0.3139 0.3061 0.7560
0.3170 0.6400 0.4205
0.3173 0.6506 0.9208
0.3179 0.9821 0.5881
0.3273 0.3199 0.2487
0.3283 0.9834 0.0818
0.4505 0.8041 0.9973
0.4584 0.1424 0.6654
0.4949 0.5070 0.0009
0.5048 0.8252 0.6718
0.5068 0.7980 0.3323
0.5108 0.1629 0.3363
0.5146 0.1244 0.0055
0.5195 0.4695 0.6715
0.6293 0.9689 0.1654
0.6320 0.6250 0.5092
0.6405 0.3005 0.8320
0.6407 0.3272 0.1674
0.6429 0.6624 0.8318
0.6531 0.0075 0.5054
0.6873 0.6418 0.1621
0.6981 0.3059 0.5016
0.8167 0.4854 0.5863
0.8221 0.8120 0.7533
0.8225 0.1521 0.4252
0.8282 0.4837 0.0834
0.8292 0.1410 0.9188
0.8328 0.8035 0.2546
0.9471 0.6428 0.6765
0.9547 0.9765 0.3345
0.9608 0.3074 0.0026
0.3146 0.6369 0.0618
0.3237 0.6475 0.5705
0.3394 0.9786 0.2387
0.8122 0.4881 0.7459
0.8205 0.1468 0.0678
0.8319 0.1374 0.5640
0.0290 0.3143 0.4980
0.0298 0.6482 0.1664
0.1162 0.1480 0.6659
0.1194 0.8147 0.9994
0.1723 0.4569 0.9985
0.1746 0.1653 0.0013
0.1808 0.7923 0.6657
0.1819 0.8334 0.3294
0.4667 0.4624 0.5036
0.4665 0.5014 0.1644
0.4705 0.1630 0.4983
0.4729 0.1255 0.8338
0.4754 0.8353 0.8353
0.5226 0.1431 0.1648
0.5272 0.4776 0.8328
0.6176 0.6430 0.6643
0.6221 0.9792 0.3323
0.6708 0.3341 0.3353
0.6720 0.6253 0.3341
0.6728 0.6615 0.9994
0.6791 0.0019 0.6640
0.6818 0.9597 0.0020
0.9635 0.3326 0.8297
0.9660 0.2914 0.1667
0.9711 0.6653 0.5007
0.9712 0.9570 0.4975
0.9750 0.6324 0.8313
0.3069 0.3100 0.8940
0.3118 0.3109 0.1041
0.3143 0.3089 0.5964
0.3179 0.6435 0.2693
0.3250 0.9791 0.4330
0.3281 0.6559 0.7732
0.3310 0.3177 0.4032
0.3329 0.9807 0.7323
0.3353 0.9793 0.9377
0.8083 0.1552 0.2684
0.8105 0.4793 0.4379
0.8119 0.4807 0.2319
0.8204 0.8110 0.8997
0.8277 0.1434 0.7697
0.8305 0.4846 0.9297
0.8320 0.8068 0.0940
0.8349 0.8098 0.6057
0.8383 0.8091 0.3944
0.0308 0.9795 0.8343
0.1162 0.4778 0.3342
0.1725 0.1293 0.3324
0.1781 0.4964 0.6661
0.4732 0.7935 0.1657
0.5328 0.8145 0.4990
0.6135 0.3142 0.9996
0.6728 0.2931 0.6648
0.9682 0.9983 0.1681
0.9997 0.8025 0.6653
0.0027 0.8279 0.3351
0.0058 0.7961 0.9459
0.0099 0.1330 0.3289
0.0106 0.1708 0.7230
0.0186 0.4836 0.6706
0.0255 0.4890 0.3883
0.0264 0.8395 0.0620
0.0270 0.1298 0.6061
0.0275 0.4677 0.2797
0.1201 0.9699 0.7793
0.1217 0.6298 0.1073
0.1216 0.9913 0.8881
0.1247 0.3382 0.5586
0.1284 0.9873 0.1730
0.1331 0.6715 0.2243
0.1401 0.2936 0.4421
0.1430 0.3273 0.8354
0.1468 0.3009 0.1657
0.1472 0.6559 0.5060
0.1544 0.9623 0.4922
0.1546 0.6316 0.8275
0.1941 0.3980 0.0592
0.1978 0.0762 0.3873
0.2003 0.7272 0.7215
0.2025 0.2289 0.9458
0.2042 0.8944 0.2723
0.2050 0.5468 0.6121
0.2099 0.4003 0.3375
0.2099 0.5555 0.3312
0.2142 0.9040 0.9942
0.2208 0.0627 0.6748
0.2234 0.7330 0.0059
0.2250 0.2351 0.6636
0.2387 0.0898 0.2797
0.2419 0.2143 0.3382
0.2431 0.5356 0.7200
0.2425 0.5504 0.0009
0.2474 0.8898 0.6754
0.2534 0.0710 0.9947
0.2544 0.4098 0.6633
0.2541 0.4130 0.9418
0.2554 0.7589 0.6049
0.2604 0.2023 0.0609
0.2610 0.8737 0.3902
0.2632 0.7395 0.3274
0.3820 0.5404 0.2238
0.3857 0.4210 0.4457
0.3875 0.0682 0.4944
0.3867 0.2021 0.5577
0.3945 0.4043 0.1604
0.3950 0.5559 0.5062
0.3960 0.0870 0.7742
0.3980 0.8754 0.8944
0.4044 0.8788 0.1706
0.4092 0.2234 0.8400
0.4087 0.7384 0.8328
0.4113 0.0614 0.1732
0.4129 0.7522 0.1135
0.4224 0.5627 0.8275
0.4232 0.3927 0.8413
0.4271 0.2333 0.1620
0.4378 0.7397 0.5021
0.4402 0.2200 0.4384
0.4405 0.8941 0.4958
0.4424 0.8886 0.7744
0.4462 0.0705 0.8944
0.4464 0.3981 0.5619
0.4501 0.7419 0.2215
0.4519 0.5603 0.1071
0.4885 0.3190 0.3376
0.4929 0.6387 0.3268
0.4979 0.6558 0.0047
0.4994 0.9895 0.6714
0.5005 0.9649 0.9997
0.5065 0.3015 0.6627
0.5161 0.6625 0.7245
0.5184 0.0029 0.3910
0.5191 0.6281 0.6059
0.5208 0.3023 0.9466
0.5228 0.3269 0.0547
0.5295 0.9605 0.2736
0.6179 0.1637 0.2265
0.6191 0.4543 0.7737
0.6228 0.8281 0.5529
0.6239 0.8042 0.4448
0.6269 0.1241 0.1086
0.6285 0.4974 0.8923
0.6385 0.8030 0.1637
0.6452 0.1566 0.5023
0.6464 0.4884 0.1716
0.6475 0.4651 0.5000
0.6522 0.1381 0.8266
0.6549 0.8254 0.8383
0.6932 0.0597 0.6055
0.6945 0.2402 0.7199
0.6994 0.5698 0.3942
0.7004 0.8996 0.0637
0.7009 0.3877 0.2747
0.7016 0.7230 0.9425
0.7052 0.3923 0.9964
0.7070 0.2380 0.0035
0.7145 0.7338 0.6621
0.7222 0.8936 0.3409
0.7266 0.5607 0.6701
0.7325 0.2515 0.6119
0.7344 0.0630 0.3274
0.7361 0.7235 0.3399
0.7402 0.3777 0.6697
0.7419 0.2368 0.3324
0.7425 0.3748 0.3946
0.7501 0.5866 0.2746
0.7517 0.9053 0.6594
0.7526 0.0539 0.0055
0.7539 0.5666 0.9958
0.7561 0.6989 0.0603
0.7635 0.9145 0.9461
0.7647 0.0420 0.7220
0.8831 0.2378 0.8280
0.8830 0.7039 0.5591
0.8855 0.3717 0.8913
0.8869 0.2554 0.1083
0.8924 0.9147 0.4395
0.8927 0.5711 0.4939
0.8934 0.9126 0.1658
0.8943 0.7252 0.8385
0.8964 0.5933 0.7737
0.8987 0.3882 0.1772
0.9028 0.0512 0.4999
0.9039 0.0383 0.2234
0.9201 0.7355 0.1640
0.9247 0.2324 0.5043
0.9260 0.5624 0.1755
0.9336 0.4031 0.4923
0.9382 0.0579 0.8311
0.9379 0.9033 0.8379
0.9395 0.3900 0.7713
0.9413 0.0498 0.1150
0.9458 0.7281 0.4442
0.9504 0.8968 0.5570
0.9514 0.2253 0.2241
0.9566 0.5722 0.8916
0.9895 0.4595 0.9947
0.9983 0.1564 0.0071



# 2
PBE Na6Zr2Si5Sn2SO24, optimized geometry; VASP energy = -6.94 eV/atom; formation energy = -2.779 eV per atom; size of the total moment = 0.00 μB per formula unit
1.0
9.1453 0.0000 0.0000
-4.5724 7.9237 0.0000
-0.1080 -0.1096 22.7449
Na Zr Si Sn S O
18 6 15 6 3 72
direct
0.0000 0.0000 0.0000
0.0008 0.2682 0.4986
0.0194 0.6459 0.2468
0.0200 0.9682 0.6654
0.3087 0.2923 0.0864
0.3269 0.6650 0.3316
0.3386 0.3228 0.5821
0.3571 0.6297 0.0018
0.3613 0.9982 0.4953
0.6308 0.6307 0.4992
0.6367 0.2690 0.9956
0.6616 0.9697 0.9143
0.6641 0.9655 0.4153
0.6661 0.6085 0.1661
0.6980 0.3013 0.3349
0.9592 0.2968 0.8364
0.9657 0.9310 0.3321
0.9712 0.6231 0.7486
0.3333 0.2931 0.9351
0.3422 0.3059 0.7278
0.6693 0.9625 0.0649
0.6793 0.9742 0.7680
0.9871 0.6203 0.6001
0.9902 0.6408 0.8962
0.0008 0.9272 0.4983
0.0349 0.3009 0.3330
0.0413 0.0045 0.8298
0.2913 0.6346 0.4973
0.2905 0.9241 0.9990
0.3323 0.0098 0.3316
0.3644 0.6668 0.1672
0.6217 0.5878 0.3317
0.6289 0.2984 0.8330
0.6638 0.6730 0.6624
0.6996 0.3353 0.4959
0.7061 0.6315 0.0035
0.9625 0.2648 0.6645
0.9665 0.9665 0.1673
0.9988 0.3467 0.9987
0.0129 0.6469 0.1012
0.3175 0.2996 0.2319
0.3277 0.2974 0.4328
0.6614 0.9561 0.2678
0.6714 0.9638 0.5618
0.9979 0.6327 0.3971
0.3324 0.5941 0.8322
0.3736 0.9663 0.6642
0.6648 0.2617 0.1668
0.0154 0.4691 0.3385
0.0247 0.8195 0.8333
0.0347 0.8439 0.5561
0.0391 0.4733 0.0549
0.1064 0.2525 0.3922
0.1270 0.1244 0.8886
0.1425 0.2665 0.6689
0.1498 0.1032 0.7719
0.1539 0.1345 0.1701
0.1633 0.5985 0.5515
0.1633 0.8206 0.3363
0.1642 0.3527 0.2780
0.1655 0.8549 0.0559
0.1667 0.3255 0.9937
0.1705 0.1150 0.4935
0.1737 0.6002 0.8354
0.1750 0.6425 0.1631
0.2034 0.8172 0.6611
0.2073 0.7973 0.9431
0.2180 0.6760 0.4371
0.2899 0.0974 0.2769
0.3102 0.4845 0.7812
0.3119 0.1130 0.9925
0.3116 0.4657 0.4931
0.3533 0.1185 0.6683
0.3566 0.5196 0.8872
0.3709 0.4884 0.1703
0.3750 0.1242 0.3919
0.4491 0.7810 0.2270
0.4606 0.9508 0.7157
0.4706 0.9892 0.6089
0.4780 0.8066 0.5045
0.4794 0.7632 0.8262
0.4804 0.9507 0.0065
0.4843 0.7607 0.1098
0.5003 0.4844 0.6682
0.5016 0.5088 0.3897
0.5045 0.9946 0.3244
0.5117 0.2789 0.1690
0.5141 0.3212 0.4922
0.5171 0.4697 0.9952
0.5242 0.2856 0.8931
0.5299 0.3229 0.7775
0.5415 0.4678 0.2732
0.6318 0.7500 0.6010
0.6423 0.1262 0.8293
0.6418 0.7778 0.3280
0.6483 0.1608 0.1139
0.6772 0.1465 0.5052
0.6844 0.7963 0.7178
0.6849 0.1812 0.2207
0.6877 0.8012 0.0062
0.7835 0.5887 0.0619
0.7888 0.4633 0.5513
0.8105 0.6080 0.3372
0.8164 0.4332 0.1638
0.8195 0.4095 0.4375
0.8235 0.4583 0.8340
0.8299 0.1593 0.0062
0.8308 0.9473 0.5010
0.8318 0.6709 0.9476
0.8453 0.6765 0.6609
0.8461 0.1329 0.3239
0.8459 0.9344 0.2256
0.8466 0.1731 0.7228
0.8538 0.9913 0.8282
0.8748 0.1442 0.6055
0.8756 0.9906 0.1086
0.9607 0.8074 0.4394
0.9618 0.7829 0.1630
0.9650 0.4246 0.9390
0.9838 0.4518 0.6618